Model A:
# Sr3Ca5Mn8O20

Crystalline Sr3Ca5Mn8O20 at its relaxed geometry (PBE with a Hubbard U, the Materials Project).

Output
Space group: No. 1

Cell lengths 11.2069, 15.5713, 11.1954 Å; angles 90.34, 91.12, 90.27 degrees
Fractional coordinates of all 144 atoms:
Ca: 0.5440 0.6296 0.4875
Ca: 0.7787 0.1206 0.7539
Ca: 0.2314 0.6192 0.7481
Ca: 0.9584 0.3853 0.4995
Ca: 0.9572 0.3842 0.0013
Ca: 0.7618 0.3758 0.7558
Ca: 0.7541 0.8737 0.7541
Ca: 0.5464 0.6296 0.9856
Ca: 0.7645 0.3757 0.2574
Ca: 0.5137 0.8733 0.4970
Ca: 0.7817 0.6199 0.7559
Ca: 0.2223 0.8897 0.7664
Ca: 0.7782 0.6202 0.2511
Ca: 0.5455 0.1293 0.9846
Ca: 0.0016 0.6110 0.0045
Ca: 0.9585 0.8839 0.0017
Ca: 0.5444 0.1295 0.4844
Ca: 0.7631 0.8766 0.2564
Ca: 0.7791 0.1206 0.2514
Ca: 0.9575 0.8836 0.4994
O: 0.7528 0.1243 0.5409
O: 0.3505 0.0007 0.6680
O: 0.6570 0.2250 0.3575
O: 0.6238 0.0252 0.8500
O: 0.9965 0.1269 0.7259
O: 0.7551 0.6264 0.0403
O: 0.8802 0.0120 0.8856
O: 0.7436 0.8746 0.9648
O: 0.6219 0.5247 0.3548
O: 0.1482 0.0046 0.8731
O: 0.1462 0.2483 0.3345
O: 0.3599 0.5124 0.1468
O: 0.6275 0.0284 0.3491
O: 0.2312 0.6303 0.5413
O: 0.1418 0.7464 0.3404
O: 0.5885 0.7523 0.1051
O: 0.0963 0.4750 0.6190
O: 0.9932 0.3753 0.2889
O: 0.3619 0.0025 0.1542
O: 0.4036 0.7020 0.3618
O: 0.6553 0.7212 0.3553
O: 0.7419 0.3754 0.4688
O: 0.4797 0.3734 0.7693
O: 0.2980 0.8735 0.4935
O: 0.7557 0.1253 0.0377
O: 0.8596 0.7732 0.6453
O: 0.8608 0.2731 0.1437
O: 0.4841 0.8704 0.7743
O: 0.9935 0.8740 0.2893
O: 0.0983 0.9716 0.6214
O: 0.9923 0.3764 0.7918
O: 0.2835 0.3755 0.9936
O: 0.2147 0.6320 0.0283
O: 0.1618 0.7514 0.8026
O: 0.8486 0.9798 0.6374
O: 0.8943 0.2399 0.9078
O: 0.8500 0.4813 0.1376
O: 0.8939 0.2396 0.4083
O: 0.8867 0.5151 0.8917
O: 0.9976 0.1270 0.2278
O: 0.2837 0.8723 0.9851
O: 0.2865 0.3750 0.4999
O: 0.8528 0.9819 0.1359
O: 0.8912 0.7403 0.4079
O: 0.9955 0.8730 0.7937
O: 0.8606 0.2735 0.6440
O: 0.0962 0.4775 0.1169
O: 0.6569 0.2249 0.8580
O: 0.5905 0.7555 0.5958
O: 0.1543 0.5080 0.3732
O: 0.8812 0.5131 0.3855
O: 0.7355 0.8754 0.4655
O: 0.8557 0.4830 0.6447
O: 0.6295 0.5256 0.8551
O: 0.5931 0.2504 0.6018
O: 0.3553 0.5125 0.6625
O: 0.7414 0.3762 0.9656
O: 0.6038 0.9999 0.0937
O: 0.6602 0.7265 0.8580
O: 0.7539 0.6278 0.5421
O: 0.9073 0.7340 0.9157
O: 0.2357 0.1281 0.0311
O: 0.6038 0.5016 0.5962
O: 0.1006 0.9755 0.1212
O: 0.6049 0.5011 0.0942
O: 0.5942 0.9964 0.5867
O: 0.2387 0.1274 0.5331
O: 0.8803 0.0104 0.3863
O: 0.9988 0.6264 0.7264
O: 0.8575 0.7745 0.1463
O: 0.4046 0.2043 0.3619
O: 0.4751 0.3733 0.2699
O: 0.9948 0.6279 0.2185
O: 0.4831 0.8741 0.2879
O: 0.4044 0.2047 0.8630
O: 0.1489 0.5101 0.8643
O: 0.1534 0.0035 0.3763
O: 0.1446 0.2488 0.8344
O: 0.5934 0.2508 0.1025
O: 0.4024 0.6891 0.8568
Mn: 0.7471 0.5030 0.9985
Mn: 0.7461 0.5040 0.4991
Mn: 0.9886 0.7517 0.2604
Mn: 0.7469 0.0019 0.9972
Mn: 0.9943 0.7512 0.7614
Mn: 0.9906 0.2523 0.2615
Mn: 0.7552 0.2474 0.5041
Mn: 0.7553 0.2481 0.0031
Mn: 0.9943 0.9951 0.2515
Mn: 0.7598 0.7472 0.0022
Mn: 0.5082 0.4958 0.7378
Mn: 0.9933 0.4970 0.2501
Mn: 0.5162 0.7462 0.7524
Mn: 0.5061 0.9886 0.7343
Mn: 0.2680 0.7454 0.4744
Mn: 0.2673 0.2460 0.4709
Mn: 0.7530 0.7487 0.5052
Mn: 0.2468 0.9957 0.5223
Mn: 0.5185 0.2514 0.7553
Mn: 0.5193 0.2515 0.2559
Mn: 0.9918 0.9941 0.7513
Mn: 0.2402 0.5019 0.0140
Mn: 0.9898 0.2526 0.7609
Mn: 0.2442 0.5015 0.5218
Mn: 0.2443 0.9972 0.0168
Mn: 0.5202 0.7505 0.2598
Mn: 0.2655 0.2465 0.9702
Mn: 0.5113 0.9900 0.2358
Mn: 0.5076 0.4941 0.2334
Mn: 0.9956 0.4966 0.7530
Mn: 0.2650 0.7433 0.9563
Mn: 0.7433 0.0013 0.4976
Sr: 0.0029 0.1160 0.0010
Sr: 0.5131 0.3758 0.4950
Sr: 0.2352 0.8833 0.2641
Sr: 0.2357 0.3857 0.7579
Sr: 0.2324 0.1191 0.7531
Sr: 0.5117 0.3755 0.9948
Sr: 0.5118 0.8752 0.9926
Sr: 0.2307 0.6213 0.2472
Sr: 0.0046 0.1154 0.4996
Sr: 0.2338 0.1177 0.2520
Sr: 0.2345 0.3861 0.2596
Sr: 0.0041 0.6182 0.5014


Model B:
# Sr3Ca5Mn8O20

Crystalline Sr3Ca5Mn8O20 at its relaxed geometry (PBE with a Hubbard U, the Materials Project).

Output
Space group: No. 1

Cell lengths 7.8425, 7.8389, 7.7281 Å; angles 88.42, 88.15, 90.50 degrees
Fractional coordinates of all 36 atoms:
Ca: 0.2598 0.7409 0.2644
Ca: 0.7353 0.7381 0.7189
Ca: 0.7407 0.7432 0.2775
Ca: 0.2540 0.7364 0.7162
Ca: 0.7355 0.2518 0.7213
Mn: 0.9989 0.9973 0.5188
Mn: 0.5006 0.5026 0.5030
Mn: 0.0021 0.5079 0.4919
Mn: 0.0013 0.9930 0.9955
Mn: 0.5064 0.5099 0.9925
Mn: 0.4872 0.9949 0.0050
Mn: 0.5053 0.0001 0.4938
Mn: 0.0011 0.4926 0.9990
O: 0.9396 0.9362 0.7740
O: 0.4984 0.7449 0.4695
O: 0.0091 0.5305 0.7486
O: 0.2495 0.9970 0.5104
O: 0.7579 0.9939 0.4734
O: 0.5309 0.0185 0.2435
O: 0.9814 0.2320 0.0227
O: 0.5052 0.2584 0.4994
O: 0.5054 0.2550 0.9951
O: 0.2599 0.5018 0.4791
O: 0.2567 0.5145 0.0119
O: 0.2280 0.9624 0.0608
O: 0.5184 0.9859 0.7536
O: 0.7444 0.5079 0.4882
O: 0.9943 0.2491 0.5121
O: 0.4991 0.5253 0.7470
O: 0.0035 0.5249 0.2412
O: 0.0057 0.7611 0.4589
O: 0.7516 0.5193 0.0196
O: 0.5241 0.7491 0.0465
Sr: 0.2588 0.2646 0.7378
Sr: 0.2497 0.2461 0.2508
Sr: 0.7503 0.2629 0.2582


Most stable of them? model A.